Record 1
Compound: Mg6CrB
Source: Materials Project
Functional: PBE-GGA
Structure: optimized geometry

ΔE_f	0.214	eV per atom
energy above the most stable polymorph in this dataset	0.000	eV/f.u.
energy	-48.4	eV per cell

CIF file:
```
data_Mg6CrB
_chemical_formula_sum 'Mg12 Cr2 B2'
_symmetry_space_group_name_H-M 'P 1'
_symmetry_Int_Tables_number 1
_cell_length_a 3.320
_cell_length_b 9.317
_cell_length_c 10.204
_cell_angle_alpha 90.00
_cell_angle_beta 90.00
_cell_angle_gamma 90.00
loop_
_symmetry_equiv_pos_as_xyz
'x,y,z'
loop_
_atom_site_label
_atom_site_type_symbol
_atom_site_fract_x
_atom_site_fract_y
_atom_site_fract_z
B1 B 0.500 0.000 0.734
B2 B 0.500 0.500 0.234
Mg1 Mg 0.500 0.236 0.872
Mg2 Mg 0.000 0.000 0.344
Mg3 Mg 0.000 0.329 0.120
Mg4 Mg 0.000 0.171 0.620
Mg5 Mg 0.500 0.500 0.591
Mg6 Mg 0.000 0.829 0.620
Mg7 Mg 0.500 0.000 0.091
Mg8 Mg 0.000 0.500 0.844
Mg9 Mg 0.500 0.736 0.372
Mg10 Mg 0.500 0.264 0.372
Mg11 Mg 0.500 0.764 0.872
Mg12 Mg 0.000 0.671 0.120
Cr1 Cr 0.000 0.000 0.848
Cr2 Cr 0.000 0.500 0.348
```

---

Record 2
Compound: Mg6CrB
Source: Materials Project
Functional: PBE-GGA
Structure: optimized geometry

ΔE_f	0.473	eV per atom
energy above the most stable polymorph in this dataset	2.069	eV/f.u.
energy	-44.3	eV per cell

CIF file:
```
data_Mg6CrB
_chemical_formula_sum 'Mg12 Cr2 B2'
_symmetry_space_group_name_H-M 'P 1'
_symmetry_Int_Tables_number 1
_cell_length_a 4.712
_cell_length_b 6.020
_cell_length_c 10.581
_cell_angle_alpha 90.00
_cell_angle_beta 90.00
_cell_angle_gamma 90.00
loop_
_symmetry_equiv_pos_as_xyz
'x,y,z'
loop_
_atom_site_label
_atom_site_type_symbol
_atom_site_fract_x
_atom_site_fract_y
_atom_site_fract_z
Mg1 Mg 0.000 0.746 0.087
Mg2 Mg 0.500 0.249 0.419
Mg3 Mg 0.500 0.751 0.419
Mg4 Mg 0.000 0.254 0.087
Mg5 Mg 0.000 0.500 0.828
Mg6 Mg 0.000 0.754 0.587
Mg7 Mg 0.500 0.749 0.919
Mg8 Mg 0.500 0.251 0.919
Mg9 Mg 0.000 0.000 0.821
Mg10 Mg 0.000 0.246 0.587
Mg11 Mg 0.000 0.000 0.328
Mg12 Mg 0.000 0.500 0.321
Cr1 Cr 0.500 0.000 0.170
Cr2 Cr 0.500 0.500 0.670
B1 B 0.500 0.500 0.168
B2 B 0.500 0.000 0.668
```

---

Record 3
Compound: Mn3Cr3B8
Source: Materials Project
Functional: PBE-GGA
Structure: optimized geometry

ΔE_f	-0.404	eV per atom
energy	-115.5	eV per cell

CIF file:
```
data_Mn3Cr3B8
_chemical_formula_sum 'Mn3 Cr3 B8'
_symmetry_space_group_name_H-M 'P 1'
_symmetry_Int_Tables_number 1
_cell_length_a 2.955
_cell_length_b 2.948
_cell_length_c 12.933
_cell_angle_alpha 90.00
_cell_angle_beta 90.00
_cell_angle_gamma 90.00
loop_
_symmetry_equiv_pos_as_xyz
'x,y,z'
loop_
_atom_site_label
_atom_site_type_symbol
_atom_site_fract_x
_atom_site_fract_y
_atom_site_fract_z
Cr1 Cr 0.500 0.500 0.314
Cr2 Cr 0.000 0.000 0.186
Cr3 Cr 0.500 0.500 0.686
Mn1 Mn 0.000 0.000 0.814
Mn2 Mn 0.000 0.500 0.501
Mn3 Mn 0.500 0.000 0.001
B1 B 0.000 0.000 0.642
B2 B 0.000 0.500 0.066
B3 B 0.000 0.500 0.933
B4 B 0.500 0.500 0.140
B5 B 0.000 0.000 0.360
B6 B 0.500 0.000 0.434
B7 B 0.500 0.000 0.567
B8 B 0.500 0.500 0.858
```

---

Record 4
Compound: CrB4Mo
Source: Materials Project
Functional: PBE-GGA
Structure: optimized geometry

ΔE_f	-0.324	eV per atom
energy above the most stable polymorph in this dataset	0.000	eV/f.u.
energy	-49.2	eV per cell

CIF file:
```
data_CrB4Mo
_chemical_formula_sum 'Cr1 B4 Mo1'
_symmetry_space_group_name_H-M 'P 1'
_symmetry_Int_Tables_number 1
_cell_length_a 3.019
_cell_length_b 3.019
_cell_length_c 6.262
_cell_angle_alpha 90.00
_cell_angle_beta 90.00
_cell_angle_gamma 120.00
loop_
_symmetry_equiv_pos_as_xyz
'x,y,z'
loop_
_atom_site_label
_atom_site_type_symbol
_atom_site_fract_x
_atom_site_fract_y
_atom_site_fract_z
B1 B 0.667 0.333 0.235
B2 B 0.667 0.333 0.765
B3 B 0.333 0.667 0.235
B4 B 0.333 0.667 0.765
Cr1 Cr 0.000 0.000 0.000
Mo1 Mo 0.000 0.000 0.500
```

---

Record 5
Compound: CrB4Mo
Source: Materials Project
Functional: PBE-GGA
Structure: optimized geometry

ΔE_f	-0.278	eV per atom
energy above the most stable polymorph in this dataset	0.277	eV/f.u.
energy	-48.9	eV per cell

CIF file:
```
data_CrB4Mo
_chemical_formula_sum 'Cr1 B4 Mo1'
_symmetry_space_group_name_H-M 'P 1'
_symmetry_Int_Tables_number 1
_cell_length_a 4.364
_cell_length_b 4.364
_cell_length_c 4.364
_cell_angle_alpha 139.61
_cell_angle_beta 106.58
_cell_angle_gamma 87.31
loop_
_symmetry_equiv_pos_as_xyz
'x,y,z'
loop_
_atom_site_label
_atom_site_type_symbol
_atom_site_fract_x
_atom_site_fract_y
_atom_site_fract_z
B1 B 0.080 0.746 0.333
B2 B 0.413 0.746 0.667
B3 B 0.920 0.254 0.667
B4 B 0.587 0.254 0.333
Cr1 Cr 0.000 0.000 0.000
Mo1 Mo 0.500 0.500 0.000
```

---

Record 6
Compound: CrB2Mo2
Source: Materials Project
Functional: PBE-GGA
Structure: optimized geometry

ΔE_f	-0.443	eV per atom
energy	-93.8	eV per cell

CIF file:
```
data_CrB2Mo2
_chemical_formula_sum 'Cr2 B4 Mo4'
_symmetry_space_group_name_H-M 'P 1'
_symmetry_Int_Tables_number 1
_cell_length_a 5.843
_cell_length_b 5.843
_cell_length_c 3.127
_cell_angle_alpha 90.00
_cell_angle_beta 90.00
_cell_angle_gamma 90.00
loop_
_symmetry_equiv_pos_as_xyz
'x,y,z'
loop_
_atom_site_label
_atom_site_type_symbol
_atom_site_fract_x
_atom_site_fract_y
_atom_site_fract_z
B1 B 0.114 0.614 0.000
B2 B 0.886 0.386 0.000
B3 B 0.386 0.114 0.000
B4 B 0.614 0.886 0.000
Mo1 Mo 0.177 0.323 0.500
Mo2 Mo 0.823 0.677 0.500
Mo3 Mo 0.677 0.177 0.500
Mo4 Mo 0.323 0.823 0.500
Cr1 Cr 0.500 0.500 0.000
Cr2 Cr 0.000 0.000 0.000
```

---

Record 7
Compound: Nb5CrB4Ru10
Source: Materials Project
Functional: PBE-GGA
Structure: optimized geometry

ΔE_f	-0.405	eV per atom
energy	-187.7	eV per cell

CIF file:
```
data_Nb5CrB4Ru10
_chemical_formula_sum 'Nb5 Cr1 B4 Ru10'
_symmetry_space_group_name_H-M 'P 1'
_symmetry_Int_Tables_number 1
_cell_length_a 2.985
_cell_length_b 9.442
_cell_length_c 9.442
_cell_angle_alpha 90.00
_cell_angle_beta 90.00
_cell_angle_gamma 90.00
loop_
_symmetry_equiv_pos_as_xyz
'x,y,z'
loop_
_atom_site_label
_atom_site_type_symbol
_atom_site_fract_x
_atom_site_fract_y
_atom_site_fract_z
Ru1 Ru 0.500 0.500 0.000
Ru2 Ru 0.500 0.928 0.780
Ru3 Ru 0.500 0.000 0.500
Ru4 Ru 0.500 0.072 0.220
Ru5 Ru 0.500 0.568 0.287
Ru6 Ru 0.500 0.220 0.928
Ru7 Ru 0.500 0.713 0.568
Ru8 Ru 0.500 0.287 0.432
Ru9 Ru 0.500 0.432 0.713
Ru10 Ru 0.500 0.780 0.072
B1 B 0.000 0.380 0.875
B2 B 0.000 0.125 0.380
B3 B 0.000 0.875 0.620
B4 B 0.000 0.620 0.125
Nb1 Nb 0.000 0.675 0.821
Nb2 Nb 0.000 0.000 0.000
Nb3 Nb 0.000 0.325 0.179
Nb4 Nb 0.000 0.821 0.325
Nb5 Nb 0.000 0.179 0.675
Cr1 Cr 0.000 0.500 0.500
```

---

Record 8
Compound: NdCr2B6
Source: Materials Project
Functional: PBE-GGA
Structure: optimized geometry

ΔE_f	-0.532	eV per atom
energy	-68.9	eV per cell

CIF file:
```
data_NdCr2B6
_chemical_formula_sum 'Nd1 Cr2 B6'
_symmetry_space_group_name_H-M 'P 1'
_symmetry_Int_Tables_number 1
_cell_length_a 5.533
_cell_length_b 5.533
_cell_length_c 5.533
_cell_angle_alpha 147.39
_cell_angle_beta 107.19
_cell_angle_gamma 82.07
loop_
_symmetry_equiv_pos_as_xyz
'x,y,z'
loop_
_atom_site_label
_atom_site_type_symbol
_atom_site_fract_x
_atom_site_fract_y
_atom_site_fract_z
Cr1 Cr 0.154 0.154 0.000
Cr2 Cr 0.846 0.846 0.000
B1 B 0.139 0.500 0.639
B2 B 0.567 0.302 0.264
B3 B 0.038 0.302 0.736
B4 B 0.962 0.698 0.264
B5 B 0.861 0.500 0.361
B6 B 0.433 0.698 0.736
Nd1 Nd 0.500 0.000 0.500
```

---

Record 9
Compound: Cr2Ni3B6
Source: Materials Project
Functional: PBE-GGA
Structure: optimized geometry

ΔE_f	-0.325	eV per atom
energy	-80.3	eV per cell

CIF file:
```
data_Cr2Ni3B6
_chemical_formula_sum 'Cr2 Ni3 B6'
_symmetry_space_group_name_H-M 'P 1'
_symmetry_Int_Tables_number 1
_cell_length_a 10.173
_cell_length_b 10.173
_cell_length_c 2.942
_cell_angle_alpha 90.00
_cell_angle_beta 90.00
_cell_angle_gamma 163.28
loop_
_symmetry_equiv_pos_as_xyz
'x,y,z'
loop_
_atom_site_label
_atom_site_type_symbol
_atom_site_fract_x
_atom_site_fract_y
_atom_site_fract_z
B1 B 0.089 0.911 0.500
B2 B 0.275 0.725 0.000
B3 B 0.725 0.275 0.000
B4 B 0.544 0.456 0.500
B5 B 0.910 0.090 0.500
B6 B 0.458 0.542 0.500
Ni1 Ni 0.195 0.805 0.500
Ni2 Ni 0.802 0.198 0.500
Ni3 Ni 0.618 0.382 0.000
Cr1 Cr 0.384 0.616 0.000
Cr2 Cr 0.001 0.999 0.000
```

---

Record 10
Compound: Cr3NiB6
Source: Materials Project
Functional: PBE-GGA
Structure: optimized geometry

ΔE_f	-0.362	eV per atom
energy	-78.4	eV per cell

CIF file:
```
data_Cr3NiB6
_chemical_formula_sum 'Cr3 Ni1 B6'
_symmetry_space_group_name_H-M 'P 1'
_symmetry_Int_Tables_number 1
_cell_length_a 9.035
_cell_length_b 9.035
_cell_length_c 2.957
_cell_angle_alpha 90.00
_cell_angle_beta 90.00
_cell_angle_gamma 160.96
loop_
_symmetry_equiv_pos_as_xyz
'x,y,z'
loop_
_atom_site_label
_atom_site_type_symbol
_atom_site_fract_x
_atom_site_fract_y
_atom_site_fract_z
B1 B 0.674 0.326 0.500
B2 B 0.325 0.675 0.000
B3 B 0.476 0.524 0.500
B4 B 0.379 0.621 0.500
B5 B 0.525 0.475 0.000
B6 B 0.621 0.379 0.000
Cr1 Cr 0.929 0.071 0.000
Cr2 Cr 0.796 0.204 0.500
Cr3 Cr 0.072 0.928 0.500
Ni1 Ni 0.202 0.798 0.000
```